{
  "formula": "YSF",
  "functional": "meta-GGA r2SCAN",
  "state": "relaxed",
  "lattice": [[3.773, 0.000, 0.000], [0.000, 3.773, 0.000], [0.000, 0.000, 6.827]],
  "species": ["Y", "Y", "S", "S", "F", "F"],
  "frac_coords": [[0.250, 0.250, 0.227], [0.750, 0.750, 0.773], [0.250, 0.250, 0.646], [0.750, 0.750, 0.354], [0.250, 0.750, 0.000], [0.750, 0.250, 0.000]],
  "sg": "P4/nmm, No. 129",
  "final_energy_ev_per_fu": -41.5,
  "e_form_mev_per_atom": -3332
}